Material: NaMnH3O3
Method: DFT, GGA+U
State: optimized geometry

```
data_NaMnH3O3
_symmetry_space_group_name_H-M 'P 42 b c'
_symmetry_Int_Tables_number 106
_cell_length_a 11.5135
_cell_length_b 11.5135
_cell_length_c 6.0569
_cell_angle_alpha 90.00
_cell_angle_beta 90.00
_cell_angle_gamma 90.00
loop_
_symmetry_equiv_pos_as_xyz
'x,y,z'
'-y,x,z+1/2'
'-x,-y,z'
'y,-x,z+1/2'
'-x+1/2,y+1/2,z'
'y+1/2,x+1/2,z+1/2'
'x+1/2,-y+1/2,z'
'-y+1/2,-x+1/2,z+1/2'
loop_
_atom_site_label
_atom_site_type_symbol
_atom_site_fract_x
_atom_site_fract_y
_atom_site_fract_z
Na1 Na 0.0638 0.1176 0.0000
Mn1 Mn 0.0711 0.2896 0.4706
H1 H 0.1234 0.6522 0.2913
H2 H 0.1231 0.8387 0.1810
H3 H 0.2146 0.2419 0.1455
O1 O 0.0836 0.1244 0.6126
O2 O 0.1017 0.7086 0.4039
O3 O 0.1423 0.2877 0.1484
```

- calculated volume (A^3/atom) = 12.5
- VASP energy (Ha/atom) = -0.2009
- DFT formation energy (meV per atom) = -1496